{"formula": "LiErAu2", "functional": "PBE-GGA", "state": "relaxed", "density_g_cm3": 11.81, "vol_a3_per_atom": 19.97, "final_energy_ev_per_cell": -15.9, "lattice": [[1.269, 2.519, 3.927], [2.005, 4.373, -0.477], [-2.492, 3.951, 1.247]], "species": ["Li", "Er", "Au", "Au"], "frac_coords": [[0.000, 0.000, 0.000], [0.500, 0.500, 0.500], [0.750, 0.750, 0.750], [0.250, 0.250, 0.250]]}

{"formula": "Cu81Sn22", "functional": "PBE-GGA", "state": "relaxed", "density_g_cm3": 8.77, "vol_a3_per_atom": 14.27, "final_energy_ev_per_cell": -418.6, "lattice": [[11.069, -6.375, 0.000], [11.069, 6.375, 0.000], [7.398, 0.000, 10.413]], "species": ["Cu", "Cu", "Cu", "Cu", "Cu", "Cu", "Cu", "Cu", "Cu", "Cu", "Cu", "Cu", "Cu", "Cu", "Cu", "Cu", "Cu", "Cu", "Cu", "Cu", "Cu", "Cu", "Cu", "Cu", "Cu", "Cu", "Cu", "Cu", "Cu", "Cu", "Cu", "Cu", "Cu", "Cu", "Cu", "Cu", "Cu", "Cu", "Cu", "Cu", "Cu", "Cu", "Cu", "Cu", "Cu", "Cu", "Cu", "Cu", "Cu", "Cu", "Cu", "Cu", "Cu", "Cu", "Cu", "Cu", "Cu", "Cu", "Cu", "Cu", "Cu", "Cu", "Cu", "Cu", "Cu", "Cu", "Cu", "Cu", "Cu", "Cu", "Cu", "Cu", "Cu", "Cu", "Cu", "Cu", "Cu", "Cu", "Cu", "Cu", "Cu", "Sn", "Sn", "Sn", "Sn", "Sn", "Sn", "Sn", "Sn", "Sn", "Sn", "Sn", "Sn", "Sn", "Sn", "Sn", "Sn", "Sn", "Sn", "Sn", "Sn", "Sn", "Sn"], "frac_coords": [[0.423, 0.077, 0.423], [0.423, 0.423, 0.077], [0.077, 0.423, 0.423], [0.077, 0.077, 0.423], [0.423, 0.077, 0.077], [0.077, 0.423, 0.077], [0.549, 0.549, 0.549], [0.549, 0.354, 0.549], [0.354, 0.549, 0.549], [0.549, 0.549, 0.354], [0.531, 0.757, 0.531], [0.531, 0.531, 0.757], [0.757, 0.531, 0.531], [0.531, 0.180, 0.531], [0.758, 0.181, 0.531], [0.531, 0.181, 0.758], [0.181, 0.531, 0.758], [0.181, 0.758, 0.531], [0.180, 0.531, 0.531], [0.758, 0.531, 0.181], [0.531, 0.531, 0.180], [0.531, 0.758, 0.181], [0.762, 0.056, 0.762], [0.762, 0.762, 0.056], [0.056, 0.762, 0.762], [0.765, 0.418, 0.765], [0.055, 0.419, 0.764], [0.764, 0.419, 0.055], [0.419, 0.764, 0.055], [0.419, 0.055, 0.764], [0.418, 0.765, 0.765], [0.055, 0.764, 0.419], [0.765, 0.765, 0.418], [0.764, 0.055, 0.419], [0.417, 0.417, 0.417], [0.416, 0.751, 0.416], [0.751, 0.416, 0.416], [0.416, 0.416, 0.751], [0.804, 0.804, 0.804], [0.804, 0.587, 0.804], [0.587, 0.804, 0.804], [0.804, 0.804, 0.587], [0.020, 0.292, 0.020], [0.020, 0.020, 0.292], [0.292, 0.020, 0.020], [0.019, 0.668, 0.019], [0.294, 0.670, 0.017], [0.017, 0.670, 0.294], [0.670, 0.017, 0.294], [0.670, 0.294, 0.017], [0.668, 0.019, 0.019], [0.294, 0.017, 0.670], [0.019, 0.019, 0.668], [0.017, 0.294, 0.670], [0.166, 0.166, 0.166], [0.165, 0.506, 0.165], [0.506, 0.165, 0.165], [0.165, 0.165, 0.506], [0.301, 0.301, 0.301], [0.301, 0.097, 0.301], [0.097, 0.301, 0.301], [0.301, 0.301, 0.097], [0.667, 0.667, 0.667], [0.667, 0.000, 0.667], [0.000, 0.667, 0.667], [0.667, 0.667, 0.000], [0.672, 0.329, 0.672], [0.672, 0.672, 0.329], [0.329, 0.672, 0.672], [0.328, 0.328, 0.671], [0.671, 0.328, 0.328], [0.328, 0.671, 0.328], [0.179, 0.821, 0.179], [0.179, 0.179, 0.821], [0.821, 0.179, 0.179], [0.820, 0.820, 0.180], [0.180, 0.820, 0.820], [0.820, 0.180, 0.820], [0.056, 0.827, 0.056], [0.827, 0.056, 0.056], [0.056, 0.056, 0.827], [0.932, 0.567, 0.932], [0.932, 0.932, 0.567], [0.567, 0.932, 0.932], [0.567, 0.567, 0.933], [0.933, 0.567, 0.567], [0.567, 0.933, 0.567], [0.912, 0.912, 0.912], [0.918, 0.252, 0.918], [0.252, 0.918, 0.918], [0.918, 0.918, 0.252], [0.268, 0.551, 0.268], [0.268, 0.268, 0.551], [0.551, 0.268, 0.268], [0.267, 0.914, 0.267], [0.551, 0.914, 0.268], [0.268, 0.914, 0.551], [0.914, 0.268, 0.551], [0.914, 0.551, 0.268], [0.914, 0.267, 0.267], [0.551, 0.268, 0.914], [0.267, 0.267, 0.914], [0.268, 0.551, 0.914]]}

{"formula": "MgSiN2", "functional": "PBE-GGA", "state": "relaxed", "energy_mp2020_ev_per_atom": -7.00, "density_g_cm3": 3.87, "vol_a3_per_atom": 8.62, "final_energy_ev_per_cell": -27.3, "lattice": [[0.409, 1.426, -2.435], [0.409, -1.426, -2.435], [-4.556, 0.000, -2.435]], "species": ["Mg", "Si", "N", "N"], "frac_coords": [[0.000, 0.000, 0.000], [0.500, 0.500, 0.500], [0.763, 0.763, 0.710], [0.237, 0.237, 0.290]]}

{"formula": "HoCu4Ni", "functional": "PBE-GGA", "state": "relaxed", "density_g_cm3": 9.22, "vol_a3_per_atom": 14.34, "final_energy_ev_per_cell": -28.2, "lattice": [[-0.182, 2.787, 4.088], [-2.772, 1.183, -3.927], [-3.014, -2.301, 1.435]], "species": ["Ho", "Cu", "Cu", "Cu", "Cu", "Ni"], "frac_coords": [[0.000, 0.000, 0.000], [0.667, 0.333, 0.000], [0.499, 0.998, 0.500], [0.002, 0.501, 0.500], [0.499, 0.501, 0.500], [0.333, 0.667, 0.000]]}

Repeat the third record exactly.
{"formula": "MgSiN2", "functional": "PBE-GGA", "state": "relaxed", "energy_mp2020_ev_per_atom": -7.00, "density_g_cm3": 3.87, "vol_a3_per_atom": 8.62, "final_energy_ev_per_cell": -27.3, "lattice": [[0.409, 1.426, -2.435], [0.409, -1.426, -2.435], [-4.556, 0.000, -2.435]], "species": ["Mg", "Si", "N", "N"], "frac_coords": [[0.000, 0.000, 0.000], [0.500, 0.500, 0.500], [0.763, 0.763, 0.710], [0.237, 0.237, 0.290]]}